[1]
Below is a geometry-optimized Mg6ZnSiO8 structure, with properties calculated at the PBE level.

VASP energy   -91.34 eV/cell
Energy with MP2020 corrections   -0.4448 Ry per atom
Total magnetic moment   0.00 μB per atom
DFT formation energy   -2.56 eV/atom

Structure (CIF):
```
data_Mg6ZnSiO8
_chemical_formula_sum 'Mg6 Zn1 Si1 O8'
_cell_length_a 4.3317
_cell_length_b 4.3317
_cell_length_c 8.6226
_cell_angle_alpha 90.00
_cell_angle_beta 90.00
_cell_angle_gamma 90.00
_space_group_name_H-M_alt 'P 4/m m m'
_space_group_IT_number 123
_space_group_name_Hall '-P 4 2'
loop_
_atom_site_label
_atom_site_type_symbol
_atom_site_fract_x
_atom_site_fract_y
_atom_site_fract_z
Mg1 Mg 0.0000 0.0000 0.0000
Mg2 Mg 0.0000 0.0000 0.5000
Mg3 Mg 0.0000 0.5000 0.2469
Zn1 Zn 0.5000 0.5000 0.0000
Si1 Si 0.5000 0.5000 0.5000
O1 O 0.0000 0.0000 0.2506
O2 O 0.0000 0.5000 0.0000
O3 O 0.0000 0.5000 0.5000
O4 O 0.5000 0.5000 0.2429
```


[2]
Below is a geometry-optimized Mg14ZnSiO16 structure, with properties calculated at the PBE level.

VASP energy   -186.98 eV/cell
Energy with MP2020 corrections   -0.4547 Ry per atom
Total magnetic moment   0.00 μB per atom
DFT formation energy   -2.80 eV/atom

Structure (CIF):
```
data_Mg14ZnSiO16
_chemical_formula_sum 'Mg14 Zn1 Si1 O16'
_cell_length_a 4.2987
_cell_length_b 8.5739
_cell_length_c 8.6085
_cell_angle_alpha 90.00
_cell_angle_beta 90.00
_cell_angle_gamma 90.00
_space_group_name_H-M_alt 'P m m m'
_space_group_IT_number 47
_space_group_name_Hall '-P 2 2'
loop_
_atom_site_label
_atom_site_type_symbol
_atom_site_fract_x
_atom_site_fract_y
_atom_site_fract_z
Mg1 Mg 0.0000 0.0000 0.0000
Mg2 Mg 0.0000 0.2483 0.2484
Mg3 Mg 0.0000 0.5000 0.0000
Mg4 Mg 0.5000 0.0000 0.2501
Mg5 Mg 0.5000 0.2468 0.5000
Mg6 Mg 0.5000 0.2497 0.0000
Mg7 Mg 0.5000 0.5000 0.2470
Zn1 Zn 0.0000 0.0000 0.5000
Si1 Si 0.0000 0.5000 0.5000
O1 O 0.0000 0.0000 0.2436
O2 O 0.0000 0.2431 0.5000
O3 O 0.0000 0.2491 0.0000
O4 O 0.0000 0.5000 0.2388
O5 O 0.5000 0.0000 0.0000
O6 O 0.5000 0.0000 0.5000
O7 O 0.5000 0.2504 0.2516
O8 O 0.5000 0.5000 0.0000
O9 O 0.5000 0.5000 0.5000
```


[3]
Below is a geometry-optimized Mg6ZnSiO8 structure, with properties calculated at the PBE level.

VASP energy   -91.24 eV/cell
Energy with MP2020 corrections   -0.4444 Ry per atom
Total magnetic moment   0.00 μB per atom
DFT formation energy   -2.55 eV/atom

Structure (CIF):
```
data_Mg6ZnSiO8
_chemical_formula_sum 'Mg6 Zn1 Si1 O8'
_cell_length_a 4.3311
_cell_length_b 4.3311
_cell_length_c 8.6289
_cell_angle_alpha 90.00
_cell_angle_beta 90.00
_cell_angle_gamma 90.00
_space_group_name_H-M_alt 'P 4/m m m'
_space_group_IT_number 123
_space_group_name_Hall '-P 4 2'
loop_
_atom_site_label
_atom_site_type_symbol
_atom_site_fract_x
_atom_site_fract_y
_atom_site_fract_z
Mg1 Mg 0.0000 0.0000 0.0000
Mg2 Mg 0.0000 0.5000 0.2478
Mg3 Mg 0.5000 0.5000 0.0000
Zn1 Zn 0.0000 0.0000 0.5000
Si1 Si 0.5000 0.5000 0.5000
O1 O 0.0000 0.0000 0.2480
O2 O 0.0000 0.5000 0.0000
O3 O 0.0000 0.5000 0.5000
O4 O 0.5000 0.5000 0.2389
```


[4]
Below is a geometry-optimized MgZrSi2O7 structure, with properties calculated at the PBE level.

VASP energy   -347.72 eV/cell
Energy with MP2020 corrections   -0.6130 Ry per atom
Total magnetic moment   0.00 μB per atom
DFT formation energy   -3.28 eV/atom

Structure (CIF):
```
data_MgZrSi2O7
_chemical_formula_sum 'Mg4 Zr4 Si8 O28'
_cell_length_a 6.5450
_cell_length_b 6.7492
_cell_length_c 9.3424
_cell_angle_alpha 90.00
_cell_angle_beta 90.00
_cell_angle_gamma 90.00
_space_group_name_H-M_alt 'I m m a'
_space_group_IT_number 74
_space_group_name_Hall '-I 2b 2'
loop_
_atom_site_label
_atom_site_type_symbol
_atom_site_fract_x
_atom_site_fract_y
_atom_site_fract_z
Mg1 Mg 0.2500 0.2500 0.2500
Zr1 Zr 0.0000 0.0000 0.0000
Si1 Si 0.0000 0.0000 0.5000
Si2 Si 0.2500 0.2500 0.7500
O1 O 0.0000 0.2500 0.1269
O2 O 0.0000 0.2500 0.4252
O3 O 0.0000 0.2500 0.8242
O4 O 0.2037 0.0571 0.6223
```


[5]
Below is a geometry-optimized Sm4Tm4MgO12 structure, with properties calculated at the PBE level.

VASP energy   -163.04 eV/cell
Energy with MP2020 corrections   -0.5995 Ry per atom
Total magnetic moment   0.00 μB per atom
DFT formation energy   -3.50 eV/atom

Structure (CIF):
```
data_Sm4Tm4MgO12
_chemical_formula_sum 'Sm4 Tm4 Mg1 O12'
_cell_length_a 5.7567
_cell_length_b 7.8756
_cell_length_c 6.2647
_cell_angle_alpha 90.00
_cell_angle_beta 90.79
_cell_angle_gamma 90.00
_space_group_name_H-M_alt 'P 1 m 1'
_space_group_IT_number 6
_space_group_name_Hall 'P -2y'
loop_
_atom_site_label
_atom_site_type_symbol
_atom_site_fract_x
_atom_site_fract_y
_atom_site_fract_z
Sm1 Sm 0.0000 0.0000 0.0000
Sm2 Sm 0.0237 0.5000 0.0694
Sm3 Sm 0.5077 0.0000 0.3845
Sm4 Sm 0.5617 0.5000 0.3440
Tm1 Tm 0.0234 0.2064 0.4838
Tm2 Tm 0.5301 0.2332 0.8917
Mg1 Mg 0.1842 0.5000 0.6760
O1 O 0.2030 0.0000 0.6711
O2 O 0.2566 0.1951 0.1594
O3 O 0.3913 0.3134 0.5731
O4 O 0.4104 0.5000 0.9715
O5 O 0.6851 0.0000 0.7389
O6 O 0.7425 0.2329 0.2073
O7 O 0.9263 0.3141 0.8005
O8 O 0.9711 0.5000 0.4196
```


> What is the formula in the first record?

Mg6ZnSiO8


Please write out number 2 again, unchanged.
Below is a geometry-optimized Mg14ZnSiO16 structure, with properties calculated at the PBE level.

VASP energy   -186.98 eV/cell
Energy with MP2020 corrections   -0.4547 Ry per atom
Total magnetic moment   0.00 μB per atom
DFT formation energy   -2.80 eV/atom

Structure (CIF):
```
data_Mg14ZnSiO16
_chemical_formula_sum 'Mg14 Zn1 Si1 O16'
_cell_length_a 4.2987
_cell_length_b 8.5739
_cell_length_c 8.6085
_cell_angle_alpha 90.00
_cell_angle_beta 90.00
_cell_angle_gamma 90.00
_space_group_name_H-M_alt 'P m m m'
_space_group_IT_number 47
_space_group_name_Hall '-P 2 2'
loop_
_atom_site_label
_atom_site_type_symbol
_atom_site_fract_x
_atom_site_fract_y
_atom_site_fract_z
Mg1 Mg 0.0000 0.0000 0.0000
Mg2 Mg 0.0000 0.2483 0.2484
Mg3 Mg 0.0000 0.5000 0.0000
Mg4 Mg 0.5000 0.0000 0.2501
Mg5 Mg 0.5000 0.2468 0.5000
Mg6 Mg 0.5000 0.2497 0.0000
Mg7 Mg 0.5000 0.5000 0.2470
Zn1 Zn 0.0000 0.0000 0.5000
Si1 Si 0.0000 0.5000 0.5000
O1 O 0.0000 0.0000 0.2436
O2 O 0.0000 0.2431 0.5000
O3 O 0.0000 0.2491 0.0000
O4 O 0.0000 0.5000 0.2388
O5 O 0.5000 0.0000 0.0000
O6 O 0.5000 0.0000 0.5000
O7 O 0.5000 0.2504 0.2516
O8 O 0.5000 0.5000 0.0000
O9 O 0.5000 0.5000 0.5000
```


> Number 4 is which compound?

MgZrSi2O7


> Which value of total magnetic moment does entry 2 give?

0.00 μB per atom